# 1
CeTm3S6 after structural relaxation, computed with r2SCAN.

Computed properties:
Formation energy from the elements (eV per formula unit): -23.9
Electronic total energy (eV/cell): -416.71
SG: P2_1/m

Lattice parameters (Å, degrees): 10.972 3.934 11.224 90.00 108.72 90.00
Element x y z (fractional)
Ce: 0.050 0.250 0.195
Ce: 0.950 0.750 0.805
Tm: 0.161 0.250 0.588
Tm: 0.321 0.750 0.000
Tm: 0.443 0.250 0.334
Tm: 0.557 0.750 0.666
Tm: 0.679 0.250 0.000
Tm: 0.839 0.750 0.412
S: 0.082 0.750 0.408
S: 0.121 0.250 0.965
S: 0.197 0.750 0.750
S: 0.269 0.750 0.230
S: 0.393 0.250 0.558
S: 0.478 0.250 0.112
S: 0.522 0.750 0.888
S: 0.607 0.750 0.442
S: 0.731 0.250 0.770
S: 0.803 0.250 0.250
S: 0.879 0.750 0.035
S: 0.918 0.250 0.592

***

# 2
SmGdCo17 after structural relaxation, computed with r2SCAN.

Computed properties:
Formation energy from the elements (eV per formula unit): -1.0
Electronic total energy (eV/cell): -299.13
SG: R3m

Lattice parameters (Å, degrees): 6.261 6.261 6.261 83.00 83.00 83.00
Element x y z (fractional)
Sm: 0.000 0.000 0.000
Gd: 0.312 0.312 0.312
Co: 0.156 0.655 0.655
Co: 0.314 0.314 0.808
Co: 0.314 0.808 0.314
Co: 0.367 0.655 0.944
Co: 0.367 0.944 0.655
Co: 0.503 0.998 0.998
Co: 0.561 0.561 0.561
Co: 0.655 0.156 0.655
Co: 0.655 0.367 0.944
Co: 0.655 0.655 0.156
Co: 0.655 0.944 0.367
Co: 0.750 0.750 0.750
Co: 0.808 0.314 0.314
Co: 0.944 0.367 0.655
Co: 0.944 0.655 0.367
Co: 0.998 0.503 0.998
Co: 0.998 0.998 0.503

***

# 3
Zn2P2O7 after structural relaxation, computed with r2SCAN.

Computed properties:
Formation energy from the elements (eV per formula unit): -24.3
Electronic total energy (eV/cell): -815.50
SG: Pbcm

Lattice parameters (Å, degrees): 4.947 13.311 16.434 90.00 90.00 90.00
Element x y z (fractional)
Zn: 0.092 0.045 0.086
Zn: 0.092 0.045 0.414
Zn: 0.092 0.455 0.586
Zn: 0.092 0.455 0.914
Zn: 0.320 0.242 0.657
Zn: 0.320 0.242 0.843
Zn: 0.320 0.258 0.157
Zn: 0.320 0.258 0.343
Zn: 0.680 0.742 0.657
Zn: 0.680 0.742 0.843
Zn: 0.680 0.758 0.157
Zn: 0.680 0.758 0.343
Zn: 0.908 0.545 0.086
Zn: 0.908 0.545 0.414
Zn: 0.908 0.955 0.586
Zn: 0.908 0.955 0.914
P: 0.039 0.057 0.750
P: 0.039 0.443 0.250
P: 0.175 0.650 0.250
P: 0.175 0.850 0.750
P: 0.421 0.644 0.503
P: 0.421 0.644 0.997
P: 0.421 0.856 0.003
P: 0.421 0.856 0.497
P: 0.579 0.144 0.503
P: 0.579 0.144 0.997
P: 0.579 0.356 0.003
P: 0.579 0.356 0.497
P: 0.825 0.150 0.250
P: 0.825 0.350 0.750
P: 0.961 0.557 0.750
P: 0.961 0.943 0.250
O: 0.015 0.669 0.172
O: 0.015 0.669 0.328
O: 0.015 0.831 0.672
O: 0.015 0.831 0.828
O: 0.122 0.549 0.673
O: 0.122 0.549 0.827
O: 0.122 0.951 0.173
O: 0.122 0.951 0.327
O: 0.197 0.565 0.003
O: 0.197 0.565 0.497
O: 0.197 0.935 0.503
O: 0.197 0.935 0.997
O: 0.210 0.152 0.750
O: 0.210 0.348 0.250
O: 0.256 0.534 0.250
O: 0.256 0.966 0.750
O: 0.267 0.750 0.000
O: 0.267 0.750 0.500
O: 0.402 0.141 0.074
O: 0.402 0.141 0.426
O: 0.402 0.359 0.574
O: 0.402 0.359 0.926
O: 0.417 0.138 0.579
O: 0.417 0.138 0.921
O: 0.417 0.362 0.079
O: 0.417 0.362 0.421
O: 0.441 0.707 0.250
O: 0.441 0.793 0.750
O: 0.559 0.207 0.250
O: 0.559 0.293 0.750
O: 0.583 0.638 0.579
O: 0.583 0.638 0.921
O: 0.583 0.862 0.079
O: 0.583 0.862 0.421
O: 0.598 0.641 0.074
O: 0.598 0.641 0.426
O: 0.598 0.859 0.574
O: 0.598 0.859 0.926
O: 0.733 0.250 0.000
O: 0.733 0.250 0.500
O: 0.744 0.034 0.250
O: 0.744 0.466 0.750
O: 0.790 0.652 0.750
O: 0.790 0.848 0.250
O: 0.803 0.065 0.003
O: 0.803 0.065 0.497
O: 0.803 0.435 0.503
O: 0.803 0.435 0.997
O: 0.878 0.049 0.673
O: 0.878 0.049 0.827
O: 0.878 0.451 0.173
O: 0.878 0.451 0.327
O: 0.985 0.169 0.172
O: 0.985 0.169 0.328
O: 0.985 0.331 0.672
O: 0.985 0.331 0.828

***

# 4
Yb5Ag3 after structural relaxation, computed with r2SCAN.

Computed properties:
Formation energy from the elements (eV per formula unit): -1.8
Electronic total energy (eV/cell): -497.12
SG: I4/mcm

Lattice parameters (Å, degrees): 9.113 9.113 9.113 132.95 132.95 68.74
Element x y z (fractional)
Yb: 0.000 0.000 0.000
Yb: 0.012 0.512 0.830
Yb: 0.182 0.012 0.500
Yb: 0.318 0.818 0.830
Yb: 0.488 0.318 0.500
Yb: 0.500 0.500 0.000
Yb: 0.512 0.682 0.500
Yb: 0.682 0.182 0.170
Yb: 0.818 0.988 0.500
Yb: 0.988 0.488 0.170
Ag: 0.133 0.367 0.500
Ag: 0.250 0.250 0.000
Ag: 0.367 0.867 0.235
Ag: 0.633 0.133 0.765
Ag: 0.750 0.750 0.000
Ag: 0.867 0.633 0.500

***

# 5
AlVO4 after structural relaxation, computed with r2SCAN.

Computed properties:
Formation energy from the elements (eV per formula unit): -17.1
Electronic total energy (eV/cell): -370.87
SG: P-1

Lattice parameters (Å, degrees): 6.532 7.750 9.128 96.17 107.28 101.46
Element x y z (fractional)
Al: 0.038 0.192 0.493
Al: 0.251 0.800 0.092
Al: 0.461 0.383 0.710
Al: 0.539 0.617 0.290
Al: 0.749 0.200 0.908
Al: 0.962 0.808 0.507
V: 0.003 0.495 0.755
V: 0.196 0.101 0.844
V: 0.483 0.199 0.376
V: 0.517 0.801 0.624
V: 0.804 0.899 0.156
V: 0.997 0.505 0.245
O: 0.042 0.203 0.926
O: 0.049 0.023 0.642
O: 0.050 0.349 0.354
O: 0.157 0.367 0.675
O: 0.160 0.598 0.933
O: 0.250 0.636 0.237
O: 0.251 0.797 0.531
O: 0.257 0.934 0.935
O: 0.354 0.227 0.524
O: 0.358 0.008 0.246
O: 0.457 0.243 0.861
O: 0.478 0.382 0.285
O: 0.522 0.618 0.715
O: 0.543 0.757 0.139
O: 0.642 0.992 0.754
O: 0.646 0.773 0.476
O: 0.743 0.066 0.065
O: 0.749 0.203 0.469
O: 0.750 0.364 0.763
O: 0.840 0.402 0.067
O: 0.843 0.633 0.325
O: 0.950 0.651 0.646
O: 0.951 0.977 0.358
O: 0.958 0.797 0.074

***

# 6
Pm2CdHg after structural relaxation, computed with r2SCAN.

Computed properties:
Formation energy from the elements (eV per formula unit): -1.8
Electronic total energy (eV/cell): -521.61
SG: Fm-3m

Lattice parameters (Å, degrees): 7.600 7.600 7.600 90.00 90.00 90.00
Element x y z (fractional)
Pm: 0.250 0.250 0.250
Pm: 0.250 0.250 0.750
Pm: 0.250 0.750 0.250
Pm: 0.250 0.750 0.750
Pm: 0.750 0.250 0.250
Pm: 0.750 0.250 0.750
Pm: 0.750 0.750 0.250
Pm: 0.750 0.750 0.750
Cd: 0.000 0.000 0.000
Cd: 0.000 0.500 0.500
Cd: 0.500 0.000 0.500
Cd: 0.500 0.500 0.000
Hg: 0.000 0.000 0.500
Hg: 0.000 0.500 0.000
Hg: 0.500 0.000 0.000
Hg: 0.500 0.500 0.500

***

# 7
NbRu3 after structural relaxation, computed with r2SCAN.

Computed properties:
Formation energy from the elements (eV per formula unit): -0.4
Electronic total energy (eV/cell): -202.89
SG: P6_3/mmc

Lattice parameters (Å, degrees): 5.560 5.560 4.381 90.00 90.00 120.00
Element x y z (fractional)
Nb: 0.333 0.667 0.250
Nb: 0.667 0.333 0.750
Ru: 0.165 0.329 0.750
Ru: 0.165 0.835 0.750
Ru: 0.329 0.165 0.250
Ru: 0.671 0.835 0.750
Ru: 0.835 0.165 0.250
Ru: 0.835 0.671 0.250

***

# 8
MnCl2 after structural relaxation, computed with r2SCAN.

Computed properties:
Formation energy from the elements (eV per formula unit): -4.7
Electronic total energy (eV/cell): -95.21
SG: R-3m

Lattice parameters (Å, degrees): 3.690 3.690 18.222 90.00 90.00 120.00
Element x y z (fractional)
Mn: 0.000 0.000 0.000
Mn: 0.333 0.667 0.667
Mn: 0.667 0.333 0.333
Cl: 0.000 0.000 0.257
Cl: 0.000 0.000 0.743
Cl: 0.333 0.667 0.409
Cl: 0.333 0.667 0.924
Cl: 0.667 0.333 0.076
Cl: 0.667 0.333 0.591